[1]
The following is a DFT calculation (PBE) of an optimized crystal structure of Na7Ga2Si3Ge2P3O24.

a = 8.7657 Å, b = 8.7697 Å, c = 21.8613 Å
α = 90.33°, β = 90.26°, γ = 119.97°
Fractional coordinates of all 123 atoms:
Na  0.0000  0.0000  0.0000
Na  0.0004  0.2608  0.4976
Na  0.0305  0.9640  0.3312
Na  0.0316  0.3300  0.8323
Na  0.3003  0.9660  0.8311
Na  0.3005  0.5958  0.3324
Na  0.3321  0.2952  0.9154
Na  0.3332  0.6602  0.6642
Na  0.3371  0.2985  0.4142
Na  0.3640  0.6252  0.9995
Na  0.3684  0.9969  0.4996
Na  0.6265  0.6288  0.4988
Na  0.6326  0.2606  0.9990
Na  0.6620  0.9624  0.0836
Na  0.6647  0.5914  0.8307
Na  0.6671  0.9588  0.5827
Na  0.6934  0.2945  0.6659
Na  0.6968  0.6611  0.1656
Na  0.9670  0.2932  0.1658
Na  0.9969  0.6336  0.7478
Na  0.9988  0.6284  0.2487
Ga  0.3250  0.2973  0.0674
Ga  0.3354  0.3016  0.5672
Ga  0.3414  0.2935  0.7636
Ga  0.6620  0.9560  0.4303
Ga  0.6696  0.9707  0.9328
Ga  0.9957  0.6207  0.8980
Si  0.0007  0.3401  0.9992
Si  0.0459  0.0039  0.1655
Si  0.2863  0.6288  0.4988
Si  0.3275  0.0040  0.6649
Si  0.3347  0.5919  0.1660
Si  0.6306  0.5935  0.6655
Si  0.6641  0.2515  0.8318
Si  0.6650  0.6654  0.3320
Si  0.9499  0.2498  0.3323
Ge  0.0032  0.6403  0.6023
Ge  0.0087  0.6332  0.1027
Ge  0.3293  0.2975  0.2672
Ge  0.6668  0.9635  0.7281
Ge  0.6688  0.9593  0.2303
Ge  0.9910  0.6162  0.3946
P  0.0405  0.2914  0.6657
P  0.2865  0.9167  0.9985
P  0.3777  0.6741  0.8322
P  0.3802  0.9677  0.3316
P  0.6162  0.2903  0.1654
P  0.7098  0.6279  0.9990
P  0.7130  0.3423  0.4989
P  0.9543  0.9630  0.8319
P  0.9994  0.9152  0.4984
O  0.0124  0.8015  0.1572
O  0.0197  0.4583  0.6590
O  0.0355  0.8326  0.4407
O  0.0422  0.4626  0.9393
O  0.1174  0.2589  0.6074
O  0.1200  0.1240  0.1053
O  0.1366  0.1304  0.8262
O  0.1492  0.2707  0.3249
O  0.1517  0.6002  0.1585
O  0.1581  0.3337  0.7232
O  0.1583  0.5920  0.4383
O  0.1588  0.8024  0.6584
O  0.1654  0.0989  0.5043
O  0.1675  0.0920  0.2268
O  0.1700  0.8393  0.9406
O  0.1759  0.3195  0.0042
O  0.1926  0.7994  0.3376
O  0.1949  0.6603  0.8367
O  0.1953  0.6650  0.5588
O  0.2015  0.7953  0.0547
O  0.2911  0.4612  0.2250
O  0.2916  0.0817  0.7266
O  0.3032  0.4512  0.5038
O  0.3103  0.1027  0.0051
O  0.3536  0.4876  0.8256
O  0.3545  0.1293  0.3246
O  0.3742  0.1269  0.6045
O  0.3811  0.5141  0.1058
O  0.4607  0.7923  0.7749
O  0.4611  0.9237  0.2759
O  0.4693  0.9301  0.9941
O  0.4808  0.8059  0.4938
O  0.4872  0.4721  0.3225
O  0.4872  0.9993  0.3908
O  0.4894  0.2729  0.8271
O  0.4949  0.7522  0.8898
O  0.5046  0.5142  0.6054
O  0.5075  0.9836  0.6729
O  0.5094  0.2609  0.1063
O  0.5118  0.7859  0.1751
O  0.5273  0.4608  0.0044
O  0.5280  0.3224  0.5031
O  0.5356  0.3331  0.2215
O  0.5491  0.4706  0.7254
O  0.6198  0.7445  0.3920
O  0.6224  0.1283  0.8916
O  0.6431  0.1294  0.1725
O  0.6435  0.7866  0.6748
O  0.6891  0.7930  0.9934
O  0.6956  0.1588  0.4932
O  0.7067  0.1619  0.7720
O  0.7077  0.7952  0.2727
O  0.7900  0.5949  0.9412
O  0.7951  0.4643  0.4427
O  0.8036  0.4601  0.1602
O  0.8210  0.6005  0.6559
O  0.8239  0.1440  0.9946
O  0.8290  0.1627  0.2708
O  0.8300  0.9229  0.7757
O  0.8308  0.6670  0.0565
O  0.8318  0.4249  0.5567
O  0.8344  0.9355  0.4942
O  0.8410  0.4475  0.8364
O  0.8477  0.9851  0.1729
O  0.8494  0.6589  0.3407
O  0.8527  0.1286  0.6720
O  0.8739  0.1295  0.3928
O  0.8756  0.9964  0.8901
O  0.9581  0.4304  0.0591
O  0.9597  0.7935  0.5545
O  0.9751  0.7981  0.8375
O  0.9813  0.4514  0.3380

SG	No. 1



[2]
The following is a DFT calculation (PBE) of an optimized crystal structure of Na4Ga2Si3Ge2S3O24.

a = 8.6926 Å, b = 8.7072 Å, c = 22.0764 Å
α = 90.06°, β = 92.50°, γ = 119.74°
Fractional coordinates of all 114 atoms:
Na  0.0000  0.0000  0.0000
Na  0.0002  0.2739  0.4922
Na  0.0038  0.6473  0.7451
Na  0.3283  0.9361  0.8301
Na  0.3325  0.6657  0.3346
Na  0.3350  0.2988  0.0809
Na  0.3367  0.3086  0.5740
Na  0.6625  0.3364  0.6565
Na  0.6654  0.9647  0.9162
Na  0.6681  0.9696  0.4106
Na  0.6701  0.6068  0.1670
Na  0.9917  0.6377  0.2494
Ga  0.0130  0.6470  0.5926
Ga  0.3268  0.2939  0.9379
Ga  0.3466  0.3310  0.4335
Ga  0.6660  0.9620  0.7639
Ga  0.6931  0.9696  0.2699
Ga  0.9988  0.6616  0.0981
Si  0.0304  0.0118  0.8327
Si  0.0378  0.2983  0.3340
Si  0.2808  0.6352  0.4969
Si  0.2967  0.9280  0.0004
Si  0.3652  0.9617  0.6667
Si  0.6223  0.5904  0.3304
Si  0.6969  0.6300  0.9993
Si  0.7021  0.3519  0.5008
Si  0.9624  0.9786  0.1655
Ge  0.3104  0.2944  0.2379
Ge  0.3109  0.2737  0.7308
Ge  0.6270  0.9739  0.5558
Ge  0.6601  0.9579  0.0628
Ge  0.9763  0.5990  0.3946
Ge  0.9957  0.6649  0.9030
S  0.3260  0.5837  0.8304
S  0.3291  0.0143  0.3315
S  0.3687  0.6811  0.1639
S  0.6277  0.3107  0.8320
S  0.6592  0.6796  0.6647
S  0.6645  0.2535  0.1642
S  0.9557  0.2577  0.6664
S  0.9920  0.9238  0.4985
S  0.9946  0.3566  0.9975
O  0.0211  0.8131  0.8380
O  0.0225  0.4616  0.0528
O  0.0227  0.8501  0.5554
O  0.0312  0.4862  0.3366
O  0.1243  0.1346  0.8921
O  0.1241  0.2624  0.3943
O  0.1408  0.2796  0.6732
O  0.1488  0.0997  0.4948
O  0.1519  0.3332  0.9931
O  0.1619  0.1594  0.1742
O  0.1637  0.6006  0.8317
O  0.1635  0.8403  0.0536
O  0.1658  0.0912  0.7747
O  0.1655  0.5967  0.5558
O  0.1668  0.3494  0.2751
O  0.1680  0.8375  0.3331
O  0.1693  0.7932  0.6581
O  0.1898  0.6538  0.1547
O  0.1934  0.6788  0.4355
O  0.2164  0.8059  0.9352
O  0.2933  0.0920  0.2739
O  0.2992  0.4603  0.4932
O  0.3001  0.4742  0.7726
O  0.3035  0.1164  0.9919
O  0.3574  0.5063  0.8845
O  0.3603  0.1551  0.6729
O  0.3609  0.1246  0.3855
O  0.3620  0.5056  0.1674
O  0.4474  0.7902  0.2194
O  0.4601  0.9419  0.7289
O  0.4816  0.7657  0.8263
O  0.4821  0.8117  0.5025
O  0.4840  0.9915  0.3235
O  0.4854  0.7614  0.1101
O  0.4955  0.9520  0.0080
O  0.4961  0.4993  0.6695
O  0.4972  0.5113  0.3861
O  0.5024  0.3115  0.4916
O  0.5019  0.4652  0.9873
O  0.5050  0.0180  0.6106
O  0.5068  0.2792  0.1650
O  0.5120  0.2784  0.8827
O  0.5319  0.4627  0.2661
O  0.5480  0.3433  0.7734
O  0.6272  0.7787  0.3219
O  0.6309  0.1411  0.1072
O  0.6311  0.7626  0.6097
O  0.6402  0.1479  0.8253
O  0.6839  0.1690  0.2189
O  0.6921  0.7858  0.7206
O  0.6944  0.8193  0.0055
O  0.7024  0.1579  0.5069
O  0.7785  0.5901  0.0600
O  0.7890  0.4656  0.5639
O  0.8063  0.4682  0.8385
O  0.8148  0.6539  0.6619
O  0.8240  0.6184  0.3397
O  0.8248  0.9259  0.2181
O  0.8259  0.4301  0.1604
O  0.8311  0.6839  0.9409
O  0.8316  0.9466  0.5044
O  0.8344  0.4273  0.4438
O  0.8353  0.1760  0.9987
O  0.8356  0.9904  0.8227
O  0.8380  0.1370  0.3268
O  0.8472  0.1752  0.7186
O  0.8722  0.0137  0.1017
O  0.8811  0.1488  0.6095
O  0.9566  0.8097  0.4441
O  0.9629  0.4371  0.9404
O  0.9723  0.4337  0.6628
O  0.9768  0.7983  0.1601

SG	No. 1



[3]
The following is a DFT calculation (PBE) of an optimized crystal structure of Na6Ga4Si5Ge4S7O48.

a = 8.6395 Å, b = 14.8503 Å, c = 22.0562 Å
α = 89.93°, β = 89.92°, γ = 89.83°
Fractional coordinates of all 222 atoms:
Na  0.0000  0.0000  0.0000
Na  0.0007  0.6782  0.6712
Na  0.0051  0.3374  0.3328
Na  0.0077  0.9954  0.5049
Na  0.0142  0.3266  0.8378
Na  0.0211  0.6695  0.1662
Na  0.1424  0.4963  0.7534
Na  0.1491  0.1652  0.4270
Na  0.3724  0.6631  0.9181
Na  0.3814  0.9968  0.2549
Na  0.4947  0.1711  0.6678
Na  0.5038  0.8229  0.3393
Na  0.5070  0.4973  0.0020
Na  0.5087  0.8294  0.8286
Na  0.5180  0.5008  0.5029
Na  0.5250  0.1795  0.1671
Na  0.6413  0.9993  0.7509
Na  0.8710  0.4984  0.2523
Ga  0.0191  0.9937  0.3581
Ga  0.0222  0.6649  0.8116
Ga  0.0305  0.6616  0.3168
Ga  0.4849  0.1644  0.8154
Ga  0.4921  0.4983  0.8554
Ga  0.5133  0.1692  0.3185
Ga  0.5205  0.8165  0.1766
Ga  0.5249  0.8249  0.9896
Ga  0.5299  0.8226  0.6963
Ga  0.9840  0.3320  0.1906
Ga  0.9894  0.3287  0.4948
Ga  0.9936  0.3209  0.6797
Si  0.1434  0.5182  0.9191
Si  0.1464  0.1809  0.5862
Si  0.2123  0.4964  0.2498
Si  0.2182  0.1611  0.9198
Si  0.2989  0.6625  0.4192
Si  0.3054  0.9988  0.7495
Si  0.3650  0.6800  0.0848
Si  0.3701  0.6396  0.7511
Si  0.3752  0.0198  0.4180
Si  0.6367  0.3561  0.2539
Si  0.6610  0.6930  0.5829
Si  0.7042  0.3323  0.5852
Si  0.8067  0.8293  0.0838
Si  0.8567  0.1921  0.0836
Si  0.8801  0.8580  0.7542
Ge  0.0114  0.6616  0.5204
Ge  0.0178  0.3248  0.9792
Ge  0.0225  0.6656  0.0252
Ge  0.0293  0.9994  0.6520
Ge  0.0327  0.9991  0.8514
Ge  0.4853  0.4984  0.3521
Ge  0.4884  0.4978  0.1505
Ge  0.4921  0.1630  0.5287
Ge  0.4955  0.8260  0.4809
Ge  0.5094  0.1633  0.0178
Ge  0.5194  0.5082  0.6433
Ge  0.9952  0.0010  0.1405
S  0.1461  0.1404  0.2505
S  0.1519  0.8546  0.2492
S  0.1528  0.4783  0.5853
S  0.1559  0.8130  0.9208
S  0.2179  0.8307  0.5841
S  0.2977  0.3300  0.0845
S  0.3616  0.3132  0.4203
S  0.3636  0.3518  0.7498
S  0.3639  0.9790  0.0876
S  0.6492  0.6469  0.2540
S  0.6510  0.3088  0.9165
S  0.6530  0.0170  0.9185
S  0.6541  0.9740  0.5835
S  0.7243  0.9963  0.2517
S  0.7256  0.6649  0.9181
S  0.7941  0.4941  0.7517
S  0.7991  0.1657  0.4177
S  0.8598  0.4755  0.0840
S  0.8623  0.5168  0.4184
S  0.8654  0.8078  0.4163
S  0.8672  0.1470  0.7543
O  0.0574  0.0824  0.5924
O  0.0594  0.4205  0.9312
O  0.0734  0.5581  0.8563
O  0.0739  0.7673  0.2543
O  0.0764  0.9016  0.9149
O  0.0766  0.2289  0.2446
O  0.0770  0.5698  0.5806
O  0.0796  0.2224  0.5221
O  0.0821  0.1013  0.3078
O  0.0874  0.4398  0.6417
O  0.0867  0.7745  0.9770
O  0.0873  0.8994  0.1944
O  0.0930  0.5828  0.2556
O  0.1029  0.0723  0.9121
O  0.1068  0.2501  0.9262
O  0.1067  0.4068  0.2421
O  0.1125  0.9111  0.5871
O  0.1193  0.7481  0.5764
O  0.1205  0.0786  0.1972
O  0.1213  0.5906  0.9751
O  0.1223  0.4238  0.5305
O  0.1293  0.9116  0.3047
O  0.1306  0.2460  0.6437
O  0.1361  0.7547  0.8675
O  0.1774  0.6663  0.0801
O  0.1807  0.6420  0.7528
O  0.1839  0.0124  0.4134
O  0.1872  0.6434  0.4785
O  0.1911  0.3439  0.7465
O  0.1918  0.3252  0.4254
O  0.1919  0.9918  0.0933
O  0.1977  0.0265  0.6916
O  0.2020  0.6864  0.3592
O  0.2050  0.3169  0.1390
O  0.2055  0.9819  0.8115
O  0.2061  0.3470  0.0285
O  0.3075  0.8486  0.5265
O  0.3110  0.8183  0.6372
O  0.3128  0.4799  0.3115
O  0.3172  0.1855  0.8610
O  0.3176  0.1460  0.2537
O  0.3189  0.5225  0.1916
O  0.3221  0.4889  0.5877
O  0.3234  0.8466  0.2455
O  0.3265  0.8248  0.9268
O  0.3283  0.1432  0.9801
O  0.3345  0.1657  0.5808
O  0.3339  0.5074  0.9168
O  0.3789  0.7436  0.1442
O  0.3809  0.2544  0.3659
O  0.3872  0.4061  0.8060
O  0.3876  0.9236  0.0336
O  0.3973  0.5688  0.6934
O  0.3979  0.0933  0.4729
O  0.3983  0.2478  0.0778
O  0.4017  0.4105  0.0881
O  0.4084  0.7517  0.4259
O  0.4124  0.9118  0.7406
O  0.4129  0.5726  0.4115
O  0.4220  0.0856  0.7553
O  0.4282  0.3925  0.6949
O  0.4288  0.9397  0.1446
O  0.4306  0.2729  0.4753
O  0.4357  0.7219  0.0222
O  0.4371  0.0700  0.0826
O  0.4400  0.6004  0.8149
O  0.4407  0.2629  0.7554
O  0.4421  0.0612  0.3538
O  0.4426  0.4009  0.4139
O  0.4434  0.7369  0.7458
O  0.4551  0.9214  0.4292
O  0.4568  0.5822  0.0925
O  0.5564  0.2571  0.2606
O  0.5696  0.4040  0.1913
O  0.5710  0.9301  0.9247
O  0.5730  0.7366  0.2488
O  0.5775  0.2701  0.9730
O  0.5779  0.7358  0.5225
O  0.5799  0.6067  0.3097
O  0.5812  0.3998  0.9114
O  0.5814  0.5921  0.5892
O  0.5831  0.9408  0.6392
O  0.5865  0.0673  0.5755
O  0.5862  0.4184  0.5952
O  0.5929  0.0602  0.8627
O  0.6047  0.2391  0.5734
O  0.6162  0.7452  0.9211
O  0.6187  0.4257  0.3125
O  0.6207  0.9170  0.2471
O  0.6228  0.9187  0.5284
O  0.6257  0.0788  0.2539
O  0.6267  0.0754  0.9743
O  0.6269  0.2525  0.8627
O  0.6270  0.5820  0.9163
O  0.6307  0.5894  0.1992
O  0.6437  0.7534  0.6418
O  0.6682  0.1762  0.0721
O  0.6895  0.4821  0.0896
O  0.6927  0.5078  0.4157
O  0.6938  0.8541  0.7502
O  0.6966  0.8188  0.4224
O  0.6975  0.1567  0.7610
O  0.6998  0.4770  0.8062
O  0.7019  0.5039  0.6951
O  0.7026  0.8585  0.0265
O  0.7045  0.1534  0.4720
O  0.7094  0.1799  0.3614
O  0.7136  0.8132  0.1467
O  0.8036  0.3598  0.5254
O  0.8047  0.3113  0.6451
O  0.8178  0.6572  0.9744
O  0.8177  0.6781  0.8633
O  0.8188  0.6572  0.2606
O  0.8199  0.0091  0.1954
O  0.8205  0.3174  0.9240
O  0.8206  0.9846  0.3064
O  0.8223  0.0073  0.9166
O  0.8240  0.9824  0.5874
O  0.8246  0.3480  0.2505
O  0.8501  0.6774  0.5711
O  0.8771  0.2491  0.1447
O  0.8859  0.0896  0.6993
O  0.8870  0.5773  0.7551
O  0.8910  0.4174  0.0311
O  0.8910  0.5752  0.4727
O  0.8918  0.7540  0.3610
O  0.8992  0.9278  0.8129
O  0.8997  0.0827  0.4123
O  0.9053  0.2450  0.4211
O  0.9046  0.4157  0.7460
O  0.9093  0.7377  0.0741
O  0.9225  0.5584  0.3613
O  0.9269  0.5669  0.0764
O  0.9265  0.9156  0.0918
O  0.9314  0.4424  0.1413
O  0.9372  0.1071  0.8100
O  0.9367  0.8998  0.4118
O  0.9383  0.7687  0.4715
O  0.9402  0.0915  0.0912
O  0.9404  0.2364  0.0246
O  0.9420  0.2364  0.7492
O  0.9427  0.4288  0.4238
O  0.9505  0.9054  0.6912
O  0.9546  0.7593  0.7614

SG	No. 1



ΔE_f readings, ordered: -104.77; -86.14; -163.44 eV per formula unit